Record 1
# HfNi3

Crystalline HfNi3 at its relaxed geometry (r²SCAN, the Materials Project database).

a = 5.2201 Å, b = 5.2201 Å, c = 21.1914 Å
α = 90.00°, β = 90.00°, γ = 120.00°
Closest atoms and distances in Å follow each position.
Space group P6_3/mmc (No. 194)
Inequivalent atoms, fractional coordinates:
1 Hf 0.0000 0.0000 0.2500  12 Ni 2.61
2 Hf 0.3333 0.6667 0.0461  12 Ni 2.61-2.65
3 Hf 0.3333 0.6667 0.6510  12 Ni 2.61-2.66
4 Ni 0.0224 0.5112 0.2500  6 Ni 2.43-2.58, 4 Hf 2.61-2.64
5 Ni 0.1558 0.3116 0.5512  6 Ni 2.44-2.59, 4 Hf 2.61-2.66
6 Ni 0.1676 0.3352 0.1495  8 Ni 2.55-2.62, 4 Hf 2.61-2.65

Summary:
Mass density = 11.774 g cm⁻³

Record 2
# KV3O7

Crystalline KV3O7 at its relaxed geometry (r²SCAN, the Materials Project database).

a = 16.0935 Å, b = 3.7279 Å, c = 11.9756 Å
α = 90.00°, β = 127.85°, γ = 90.00°
Closest atoms and distances in Å follow each position.
Space group C2/m (No. 12)
Inequivalent atoms, fractional coordinates:
1 K 0.1779 0.0000 0.0872  7 O 2.70-2.88
2 V 0.0550 0.5000 0.2625  1 O 1.63
3 V 0.0580 0.0000 0.6776  2 O 1.64-1.79
4 V 0.2064 0.0000 0.5545  2 O 1.72-1.80
5 O 0.0232 0.5000 0.6614  3 V 1.92-1.95
6 O 0.0359 0.5000 0.9080  1 V 1.63
7 O 0.0675 0.0000 0.3216  3 V 1.96-2.03
8 O 0.1041 0.0000 0.5745  2 V 1.79-1.80
9 O 0.1670 0.0000 0.8401  1 V 1.64
10 O 0.1812 0.5000 0.2729  1 V 1.72
11 O 0.2010 0.5000 0.5065  3 V 1.94-2.02

Summary:
Mass density = 3.558 g cm⁻³

Record 3
# Ba2Nb15O32

Crystalline Ba2Nb15O32 at its relaxed geometry (r²SCAN, the Materials Project database).

a = 7.8632 Å, b = 7.8632 Å, c = 35.8725 Å
α = 90.00°, β = 90.00°, γ = 120.00°
Closest atoms and distances in Å follow each position.
Space group R-3 (No. 148, hexagonal axes)
Inequivalent atoms, fractional coordinates:
1 Ba 0.0000 0.0000 0.1383  12 O 2.95-3.13
2 Nb 0.0000 0.0000 0.3606  6 O 1.95-2.09
3 Nb 0.0000 0.0000 0.5000  6 O 2.02
4 Nb 0.0248 0.8076 0.0330  5 O 2.06-2.22
5 Nb 0.0679 0.5894 0.9002  6 O 1.91-2.12
6 O 0.0000 0.0000 0.2620  3 Nb 2.12
7 O 0.0178 0.7980 0.5321  2 Nb 1.91-2.02
8 O 0.0322 0.7987 0.9315  3 Nb 2.08-2.13
9 O 0.0578 0.8230 0.7938  2 Nb 1.96-2.09
10 O 0.0608 0.8263 0.3961  2 Nb 1.96-2.09
11 O 0.0678 0.8280 0.6669  3 Nb 1.95-2.14

Summary:
Mass density = 5.654 g cm⁻³

Record 4
# HoZnIn

Crystalline HoZnIn at its relaxed geometry (r²SCAN, the Materials Project database).

a = 4.6087 Å, b = 4.6087 Å, c = 7.2261 Å
α = 90.00°, β = 90.00°, γ = 120.00°
Closest atoms and distances in Å follow each position.
Space group P6_3/mmc (No. 194)
Inequivalent atoms, fractional coordinates:
1 Ho 0.0000 0.0000 0.0000  6 In 3.22, 6 Zn 3.22
2 Zn 0.3333 0.6667 0.2500  3 In 2.66
3 In 0.3333 0.6667 0.7500  3 Zn 2.66

Summary:
Mass density = 8.624 g cm⁻³

Record 5
# SrLiBO3

Crystalline SrLiBO3 at its relaxed geometry (r²SCAN, the Materials Project database).

a = 6.4592 Å, b = 6.7098 Å, c = 7.6642 Å
α = 90.00°, β = 122.40°, γ = 90.00°
Closest atoms and distances in Å follow each position.
Space group P2_1/c (No. 14)
Inequivalent atoms, fractional coordinates:
1 Sr 0.1660 0.1246 0.3642  7 O 2.51-2.70
2 Li 0.4074 0.5912 0.3036  5 O 1.96-2.15
3 B 0.2647 0.6357 0.5746  3 O 1.38-1.39
4 O 0.1162 0.6986 0.0082  1 B 1.38
5 O 0.2427 0.0097 0.9383  1 B 1.38
6 O 0.4429 0.6134 0.7836  1 B 1.39

Summary:
Mass density = 3.632 g cm⁻³

Record 6
# Ce2USe4

Crystalline Ce2USe4 at its relaxed geometry (r²SCAN, the Materials Project database).

a = 8.9856 Å, b = 8.9856 Å, c = 8.9430 Å
α = 90.00°, β = 90.00°, γ = 90.00°
Closest atoms and distances in Å follow each position.
Space group I-42d (No. 122)
Inequivalent atoms, fractional coordinates:
1 Ce 0.1257 0.2500 0.1250  8 Se 3.03-3.21
2 U 0.0000 0.0000 0.5000  8 Se 3.02-3.16
3 Se 0.0744 0.1751 0.7967  2 U 3.02-3.16, 4 Ce 3.03-3.21, 1 Se 3.35

Summary:
Mass density = 7.673 g cm⁻³

Record 7
# TmGe2Rh4

Crystalline TmGe2Rh4 at its relaxed geometry (r²SCAN, the Materials Project database).

a = 11.3514 Å, b = 4.1598 Å, c = 9.0988 Å
α = 90.00°, β = 90.00°, γ = 90.00°
Closest atoms and distances in Å follow each position.
Space group Pnma (No. 62)
Inequivalent atoms, fractional coordinates:
1 Tm 0.1742 0.2500 0.1482  5 Rh 2.76-3.01, 2 Ge 3.00
2 Ge 0.0593 0.7500 0.3816  8 Rh 2.47-2.68
3 Ge 0.1386 0.7500 0.9145  7 Rh 2.38-2.62
4 Rh 0.0011 0.2500 0.8844  4 Ge 2.42-2.62, 1 Rh 2.71
5 Rh 0.0615 0.7500 0.6714  4 Ge 2.38-2.64
6 Rh 0.1555 0.2500 0.4955  4 Ge 2.45-2.68
7 Rh 0.2314 0.2500 0.8081  3 Ge 2.47-2.52, 1 Rh 2.71, 2 Tm 2.76

Summary:
Mass density = 11.221 g cm⁻³

Record 8
# Eu3Al5O12

Crystalline Eu3Al5O12 at its relaxed geometry (r²SCAN, the Materials Project database).

a = 12.1410 Å, b = 12.1410 Å, c = 12.1410 Å
α = 90.00°, β = 90.00°, γ = 90.00°
Closest atoms and distances in Å follow each position.
Space group Ia-3d (No. 230)
Inequivalent atoms, fractional coordinates:
1 Eu 0.0000 0.2500 0.1250  8 O 2.35-2.50
2 Al 0.0000 0.0000 0.0000  6 O 1.93
3 Al 0.0000 0.2500 0.3750  4 O 1.77
4 O 0.0326 0.0483 0.6479  2 Al 1.77-1.93

Summary:
Mass density = 5.811 g cm⁻³

Record 9
# Ga

Crystalline Ga at its relaxed geometry (r²SCAN, the Materials Project database).

a = 5.9848 Å, b = 5.9848 Å, c = 5.9848 Å
α = 90.00°, β = 90.00°, γ = 90.00°
Closest atoms and distances in Å follow each position.
Space group I-43d (No. 220)
Inequivalent atoms, fractional coordinates:
1 Ga 0.0000 0.2500 0.8750  8 Ga 2.80

Summary:
Energy relative to the lowest polymorph listed for this composition = 0.100 eV per atom
Mass density = 6.481 g cm⁻³

Record 10
# NdCd2

Crystalline NdCd2 at its relaxed geometry (r²SCAN, the Materials Project database).

a = 5.0394 Å, b = 5.0394 Å, c = 3.4883 Å
α = 90.00°, β = 90.00°, γ = 120.00°
Closest atoms and distances in Å follow each position.
Space group P6/mmm (No. 191)
Inequivalent atoms, fractional coordinates:
1 Nd 0.0000 0.0000 0.0000  12 Cd 3.39, 2 Nd 3.49
2 Cd 0.3333 0.6667 0.5000  3 Cd 2.91

Summary:
Mass density = 7.988 g cm⁻³

Record 11
# ThSnPd2

Crystalline ThSnPd2 at its relaxed geometry (r²SCAN, the Materials Project database).

a = 6.9671 Å, b = 6.9671 Å, c = 6.9671 Å
α = 90.00°, β = 90.00°, γ = 90.00°
Closest atoms and distances in Å follow each position.
Space group Fm-3m (No. 225)
Inequivalent atoms, fractional coordinates:
1 Th 0.0000 0.0000 0.0000  8 Pd 3.02
2 Sn 0.0000 0.0000 0.5000  8 Pd 3.02
3 Pd 0.2500 0.2500 0.2500  4 Sn 3.02, 4 Th 3.02

Summary:
Mass density = 11.069 g cm⁻³

Record 12
# Y2Re3Si5

Crystalline Y2Re3Si5 at its relaxed geometry (r²SCAN, the Materials Project database).

a = 10.9506 Å, b = 10.9506 Å, c = 5.5220 Å
α = 90.00°, β = 90.00°, γ = 90.00°
Closest atoms and distances in Å follow each position.
Space group P4/mnc (No. 128)
Inequivalent atoms, fractional coordinates:
1 Y 0.0780 0.2376 0.0000  7 Si 2.84-3.15, 2 Re 3.12
2 Re 0.0000 0.5000 0.2500  6 Si 2.47-2.66, 2 Re 2.76
3 Re 0.1248 0.8522 0.5000  6 Si 2.46-2.53
4 Si 0.0000 0.0000 0.2488  4 Re 2.53, 2 Si 2.75-2.77
5 Si 0.0262 0.3143 0.5000  4 Re 2.46-2.47, 2 Si 2.58
6 Si 0.1720 0.6720 0.2500  3 Re 2.46-2.66, 2 Si 2.58

Summary:
Mass density = 8.796 g cm⁻³

| no. | formation enthalpy at 0 K (meV/atom) |
| --- | --- |
| 1 | -518 |
| 2 | -2574 |
| 3 | -2760 |
| 4 | -526 |
| 5 | -2867 |
| 6 | -2008 |
| 7 | -823 |
| 8 | -3293 |
| 9 | 100 |
| 10 | -399 |
| 11 | -794 |
| 12 | -639 |